Arrangement P

The following is a DFT calculation (PBE-GGA) of an optimized crystal structure of K2Si4O9.

Lattice parameters (Å, degrees): 5.0014 8.5170 12.3244 70.84 89.59 89.01
Fractional positions:
K 0.2364 0.4350 0.1386
K 0.2560 0.9114 0.6510
K 0.7440 0.0886 0.3490
K 0.7636 0.5650 0.8614
Si 0.2074 0.9412 0.1457
Si 0.2128 0.6976 0.3988
Si 0.2830 0.3178 0.4477
Si 0.2918 0.8318 0.9364
Si 0.7082 0.1682 0.0636
Si 0.7170 0.6822 0.5523
Si 0.7872 0.3024 0.6012
Si 0.7926 0.0588 0.8543
O 0.0948 0.2735 0.5658
O 0.1023 0.9928 0.8597
O 0.2319 0.2073 0.3695
O 0.2435 0.8101 0.0746
O 0.2477 0.5198 0.3768
O 0.2479 0.6662 0.9084
O 0.2837 0.8455 0.2800
O 0.3979 0.1016 0.0955
O 0.4067 0.7126 0.5005
O 0.5933 0.2874 0.4995
O 0.6021 0.8984 0.9045
O 0.7163 0.1545 0.7200
O 0.7521 0.3338 0.0916
O 0.7523 0.4802 0.6232
O 0.7565 0.1899 0.9254
O 0.7681 0.7927 0.6305
O 0.8977 0.0072 0.1403
O 0.9052 0.7265 0.4342

Summary:
V, Å³/f.u.: 248
Space-group type: P-1, No. 2

=====

Arrangement Q

The following is a DFT calculation (PBE-GGA) of an optimized crystal structure of K2Si4O9.

Lattice parameters (Å, degrees): 6.7051 6.7051 9.6365 90.00 90.00 120.00
Fractional positions:
K 0.3333 0.6667 0.0584
K 0.3333 0.6667 0.4416
K 0.6667 0.3333 0.5584
K 0.6667 0.3333 0.9416
Si 0.0000 0.0000 0.0000
Si 0.0000 0.0000 0.5000
Si 0.1339 0.3657 0.7500
Si 0.2318 0.8661 0.7500
Si 0.3657 0.2318 0.2500
Si 0.6343 0.7682 0.7500
Si 0.7682 0.1339 0.2500
Si 0.8661 0.6343 0.2500
O 0.0259 0.2331 0.6059
O 0.0259 0.2331 0.8941
O 0.0733 0.5802 0.7500
O 0.2072 0.9741 0.6059
O 0.2072 0.9741 0.8941
O 0.2331 0.2072 0.1059
O 0.2331 0.2072 0.3941
O 0.4198 0.4931 0.7500
O 0.4931 0.0733 0.2500
O 0.5069 0.9267 0.7500
O 0.5802 0.5069 0.2500
O 0.7669 0.7928 0.6059
O 0.7669 0.7928 0.8941
O 0.7928 0.0259 0.1059
O 0.7928 0.0259 0.3941
O 0.9267 0.4198 0.2500
O 0.9741 0.7669 0.1059
O 0.9741 0.7669 0.3941

Summary:
V, Å³/f.u.: 188
Space-group type: P6_3/m, No. 176

=====

Stability ranking, top entry: arrangement P; the second entry is 3.0 kJ/mol of atoms less favorable.

=====

Arrangement P

The following is a DFT calculation (PBE-GGA) of an optimized crystal structure of K2Si3SnO9.

Lattice parameters (Å, degrees): 6.9685 6.9685 10.1707 90.00 90.00 120.00
Fractional positions:
K 0.3333 0.6667 0.0568
K 0.3333 0.6667 0.4432
K 0.6667 0.3333 0.5568
K 0.6667 0.3333 0.9432
Si 0.1287 0.3828 0.7500
Si 0.2541 0.8713 0.7500
Si 0.3828 0.2541 0.2500
Si 0.6172 0.7459 0.7500
Si 0.7459 0.1287 0.2500
Si 0.8713 0.6172 0.2500
Sn 0.0000 0.0000 0.0000
Sn 0.0000 0.0000 0.5000
O 0.0188 0.2555 0.6136
O 0.0188 0.2555 0.8864
O 0.0861 0.5987 0.7500
O 0.2367 0.9812 0.6136
O 0.2367 0.9812 0.8864
O 0.2555 0.2367 0.1136
O 0.2555 0.2367 0.3864
O 0.4013 0.4874 0.7500
O 0.4874 0.0861 0.2500
O 0.5125 0.9139 0.7500
O 0.5987 0.5125 0.2500
O 0.7445 0.7633 0.6136
O 0.7445 0.7633 0.8864
O 0.7633 0.0188 0.1136
O 0.7633 0.0188 0.3864
O 0.9139 0.4013 0.2500
O 0.9812 0.7445 0.1136
O 0.9812 0.7445 0.3864

Summary:
V, Å³/f.u.: 214
Space-group type: P6_3/m, No. 176

=====

Arrangement Q

The following is a DFT calculation (PBE-GGA) of an optimized crystal structure of K2Si3SnO9.

Lattice parameters (Å, degrees): 7.7841 7.7841 7.7841 83.12 83.12 83.12
Fractional positions:
K 0.0000 0.0000 0.0000
K 0.2702 0.5085 0.7250
K 0.5085 0.7250 0.2702
K 0.7250 0.2702 0.5085
Si 0.0535 0.9495 0.4805
Si 0.3970 0.9858 0.6029
Si 0.4805 0.0535 0.9495
Si 0.6029 0.3970 0.9858
Si 0.9495 0.4805 0.0535
Si 0.9858 0.6029 0.3970
Sn 0.2718 0.2718 0.2718
Sn 0.7527 0.7527 0.7527
O 0.0157 0.8116 0.3454
O 0.0554 0.1418 0.3738
O 0.1418 0.3738 0.0554
O 0.1757 0.4898 0.3981
O 0.2472 0.8752 0.5462
O 0.3454 0.0157 0.8116
O 0.3738 0.0554 0.1418
O 0.3981 0.1757 0.4898
O 0.4898 0.3981 0.1757
O 0.5462 0.2472 0.8752
O 0.5765 0.5800 0.8633
O 0.5800 0.8633 0.5765
O 0.6494 0.9084 0.9498
O 0.8116 0.3454 0.0157
O 0.8633 0.5765 0.5800
O 0.8752 0.5462 0.2472
O 0.9084 0.9498 0.6494
O 0.9498 0.6494 0.9084

Summary:
V, Å³/f.u.: 231
Space-group type: R3, No. 146

=====

Stability ranking, top entry: arrangement Q; the second entry is 1.4 kJ/mol of atoms less favorable.

=====

Arrangement P

The following is a DFT calculation (PBE-GGA) of an optimized crystal structure of K2TiSi3O9.

Lattice parameters (Å, degrees): 7.7158 7.7158 7.7158 82.44 82.44 82.44
Fractional positions:
K 0.0000 0.0000 0.0000
K 0.2731 0.4984 0.7317
K 0.4984 0.7317 0.2731
K 0.7317 0.2731 0.4984
Ti 0.2443 0.2443 0.2443
Ti 0.7259 0.7259 0.7259
Si 0.0135 0.6015 0.3941
Si 0.0525 0.9398 0.5187
Si 0.3941 0.0135 0.6015
Si 0.5187 0.0526 0.9398
Si 0.6015 0.3941 0.0135
Si 0.9398 0.5187 0.0525
O 0.0600 0.0911 0.3514
O 0.0911 0.3514 0.0600
O 0.1323 0.7473 0.4459
O 0.1351 0.4141 0.4078
O 0.1875 0.9705 0.6607
O 0.3514 0.0600 0.0911
O 0.4078 0.1351 0.4141
O 0.4141 0.4078 0.1351
O 0.4459 0.1323 0.7473
O 0.5210 0.8274 0.6035
O 0.6035 0.5210 0.8274
O 0.6246 0.8579 0.9299
O 0.6607 0.1875 0.9705
O 0.7473 0.4459 0.1323
O 0.8274 0.6035 0.5210
O 0.8579 0.9299 0.6246
O 0.9299 0.6246 0.8579
O 0.9705 0.6607 0.1875

Summary:
V, Å³/f.u.: 224
Space-group type: R3, No. 146

=====

Arrangement Q

The following is a DFT calculation (PBE-GGA) of an optimized crystal structure of K2TiSi3O9.

Lattice parameters (Å, degrees): 6.8702 6.8702 10.0794 90.00 90.00 120.00
Fractional positions:
K 0.3333 0.6667 0.0574
K 0.3333 0.6667 0.4426
K 0.6667 0.3333 0.5574
K 0.6667 0.3333 0.9426
Ti 0.0000 0.0000 0.0000
Ti 0.0000 0.0000 0.5000
Si 0.1294 0.3771 0.7500
Si 0.2477 0.8706 0.7500
Si 0.3771 0.2477 0.2500
Si 0.6229 0.7523 0.7500
Si 0.7523 0.1294 0.2500
Si 0.8706 0.6229 0.2500
O 0.0222 0.2453 0.6126
O 0.0222 0.2453 0.8874
O 0.0815 0.5932 0.7500
O 0.2231 0.9778 0.6126
O 0.2231 0.9778 0.8874
O 0.2453 0.2231 0.1126
O 0.2453 0.2231 0.3874
O 0.4068 0.4882 0.7500
O 0.4882 0.0815 0.2500
O 0.5118 0.9185 0.7500
O 0.5932 0.5118 0.2500
O 0.7547 0.7769 0.6126
O 0.7547 0.7769 0.8874
O 0.7769 0.0222 0.1126
O 0.7769 0.0222 0.3874
O 0.9185 0.4068 0.2500
O 0.9778 0.7547 0.1126
O 0.9778 0.7547 0.3874

Summary:
V, Å³/f.u.: 206
Space-group type: P6_3/m, No. 176

=====

Stability ranking, top entry: arrangement P; the second entry is 0.6 kJ/mol of atoms less favorable.